Record 1
Here is crystalline Si3Ru2 at its relaxed geometry from the Materials Project database. Energies are from meta-GGA r2SCAN.

Cell and atoms, written as POSCAR:
```
Si3Ru2
1.0
-1.460 3.651 3.907
-5.066 -6.241 3.938
8.664 -3.139 6.172
Si Ru
24 16
Cartesian
4.069 -0.428 6.668 Si
5.361 -4.819 7.322 Si
1.353 1.470 6.181 Si
-1.442 -1.440 3.924 Si
-1.931 -5.301 7.349 Si
-3.224 -0.910 6.695 Si
0.784 -7.199 7.835 Si
3.580 -4.289 10.093 Si
5.456 0.367 8.878 Si
3.071 -3.353 7.531 Si
0.382 1.186 3.649 Si
0.434 -3.417 4.038 Si
-3.318 -6.096 5.139 Si
-0.933 -2.376 6.486 Si
1.756 -6.915 10.368 Si
1.704 -2.312 9.979 Si
0.585 -4.168 8.503 Si
3.912 -7.652 9.070 Si
-1.260 -2.302 9.087 Si
-4.028 -3.577 5.312 Si
1.553 -1.561 5.514 Si
-1.774 1.923 4.946 Si
3.398 -3.427 4.930 Si
6.165 -2.151 8.704 Si
-1.443 -4.597 9.654 Ru
-3.284 -2.683 3.246 Ru
3.581 -1.132 4.362 Ru
-3.242 0.093 4.599 Ru
0.906 -1.703 7.828 Ru
-0.567 0.664 1.134 Ru
1.232 -4.026 6.189 Ru
-5.959 -3.254 6.711 Ru
3.764 -1.503 8.812 Ru
5.201 -2.580 6.423 Ru
-0.454 -0.057 5.679 Ru
0.831 -1.078 3.181 Ru
-1.626 -4.226 5.205 Ru
-3.063 -3.149 7.594 Ru
2.591 -5.672 8.338 Ru
1.307 -4.651 10.836 Ru
```

Output
V: 13.8 A^3/atom
ΔH_f (0 K): -0.62 eV per atom

Record 2
Here is crystalline Si3Ru2 at its relaxed geometry from the Materials Project database. Energies are from meta-GGA r2SCAN.

Cell and atoms, written as POSCAR:
```
Si3Ru2
1.0
-4.582 3.103 -0.637
-1.894 -1.787 4.924
4.040 6.791 4.019
Si Ru
12 8
Cartesian
-2.338 6.184 6.567 Si
-3.112 3.963 1.320 Si
-1.345 0.748 4.977 Si
1.921 5.319 3.748 Si
0.243 3.508 5.426 Si
-1.927 5.863 3.628 Si
-2.817 3.339 5.146 Si
-0.372 3.503 2.411 Si
-1.231 0.628 1.996 Si
0.525 5.840 7.339 Si
0.326 7.794 4.237 Si
-4.494 1.952 3.039 Si
2.020 3.396 2.009 Ru
0.000 0.000 0.000 Ru
-0.208 5.751 5.158 Ru
-2.228 2.356 3.148 Ru
2.578 5.032 5.968 Ru
-1.776 2.417 0.194 Ru
0.244 5.813 2.203 Ru
0.558 1.636 3.959 Ru
```

Output
V: 13.8 A^3/atom
ΔH_f (0 K): -0.59 eV per atom

Record 3
Here is crystalline SiRu at its relaxed geometry from the Materials Project database. Energies are from meta-GGA r2SCAN.

Cell and atoms, written as POSCAR:
```
SiRu
1.0
-0.603 2.843 3.705
2.742 -2.808 2.601
3.780 2.490 -1.296
Si Ru
4 4
Cartesian
3.332 1.163 0.621 Si
2.227 -0.496 2.763 Si
1.322 2.268 2.439 Si
4.958 2.115 4.196 Si
2.602 1.631 4.382 Ru
3.928 2.917 2.167 Ru
4.543 0.176 2.822 Ru
0.766 0.327 0.648 Ru
```

Output
V: 13.0 A^3/atom
ΔH_f (0 K): -0.65 eV per atom

- What is the formula in the third record?
  SiRu